SrCrF5, optimized geometry, DFT GGA+U; energy of formation = -3.5426 eV/atom
1.0
-4.014 -10.036 -2.373
-3.461 10.034 3.131
2.724 2.766 -10.363
Sr Cr F
8 8 40
Cartesian
-0.476 9.563 -6.235
-3.960 -6.798 -3.401
-4.267 3.783 -6.400
-0.169 -1.018 -3.237
-0.575 5.448 -7.387
-3.828 -2.683 -2.253
-3.835 2.627 -2.307
-0.568 0.137 -7.333
-5.361 -0.001 0.544
-3.604 5.237 0.180
-0.840 -2.473 -9.815
-4.113 -0.186 -4.848
-0.332 2.951 -4.788
-1.632 0.000 0.166
-4.177 -3.636 -6.010
-3.900 6.400 -3.258
-2.274 6.661 0.027
-2.966 6.138 -6.802
-2.924 -0.203 -6.399
-2.870 -7.067 -5.879
-2.308 -3.635 -6.199
-2.031 6.400 -3.447
-3.499 -0.001 0.355
-2.343 3.780 -0.168
0.464 -1.015 -9.729
-2.683 -0.404 -3.528
0.804 3.169 -6.368
-0.726 7.828 -8.253
-3.801 -5.063 -1.375
-4.137 1.751 -4.669
-0.390 1.014 -4.959
-2.163 -1.096 -9.441
-4.974 3.860 0.079
-1.817 3.189 -6.021
-5.320 -0.425 -3.342
-7.237 -0.002 0.734
-0.347 7.362 -5.314
-4.020 -4.597 -4.330
-4.011 4.713 -4.213
-0.357 -1.948 -5.430
1.302 4.225 -8.943
-1.677 -1.459 -1.105
-1.697 1.269 -1.294
1.322 1.497 -8.754
-3.740 5.172 -1.778
-0.580 -2.407 -7.870
-4.043 -2.147 -4.789
-0.276 4.912 -4.859
-5.567 -1.426 -0.746
-2.581 4.190 -8.514
-2.568 1.461 -8.394
-5.580 1.303 -0.866
-2.124 -3.932 -9.579
-1.449 -3.339 -2.925
-1.479 3.056 -3.206
-1.540 9.744 -3.795

CrXeF6, optimized geometry, DFT GGA+U; energy of formation = -1.9367 eV/atom
1.0
-2.411 0.756 -6.991
1.047 -7.907 -1.217
-8.570 -9.467 1.931
Cr Xe F
4 4 24
Cartesian
-2.147 -9.954 -3.611
-4.294 -1.681 -5.927
-7.787 -6.663 -2.666
-5.641 -14.936 -0.349
-8.027 -11.168 -1.168
-6.651 -10.038 -5.473
-1.907 -5.449 -5.109
-3.283 -6.579 -0.804
-3.770 -9.344 -3.315
-2.872 -2.228 -6.806
-6.164 -7.273 -2.962
-7.062 -14.389 0.530
-3.586 -3.754 -2.749
-3.041 -7.823 -7.329
-6.348 -12.863 -3.528
-6.893 -8.794 1.053
-5.025 -7.708 -0.152
-8.630 -13.820 -3.522
-4.909 -8.909 -6.125
-1.304 -2.797 -2.754
-1.589 -5.645 -1.388
-3.663 -6.363 -4.703
-8.345 -10.972 -4.889
-6.271 -10.254 -1.574
-7.956 -6.194 -4.548
-6.687 -15.023 -1.989
-1.979 -10.423 -1.728
-3.247 -1.594 -4.288
-4.975 -13.335 -0.821
-8.706 -8.184 -2.929
-4.959 -3.282 -5.455
-1.228 -8.433 -3.347